(1)
Below is CdPdC6N6 after structural relaxation, with properties calculated at the PBE level.

Computed properties:
Its energy relative to the elements is 0.32 eV per atom. The calculation puts the magnetization at 0.000 μB per formula unit.

Geometry as POSCAR:
```
CdPdC6N6
1.0
0.000 5.527 5.527
5.527 0.000 5.527
5.527 5.527 0.000
Cd Pd C N
1 1 6 6
Cartesian
0.000 0.000 0.000
5.527 5.527 5.527
5.527 5.527 3.508
5.527 3.508 5.527
7.546 5.527 5.527
3.508 5.527 5.527
5.527 7.546 5.527
5.527 5.527 7.546
5.527 5.527 2.343
5.527 2.343 5.527
8.711 5.527 5.527
2.343 5.527 5.527
5.527 8.711 5.527
5.527 5.527 8.711
```

(2)
Below is RbCdC3S3N3 after structural relaxation, with properties calculated at the PBE level.

Computed properties:
Its energy relative to the elements is -0.34 eV per atom. The calculation puts the magnetization at 0.000 μB per formula unit.

Geometry as POSCAR:
```
RbCdC3S3N3
1.0
5.808 0.000 0.000
0.000 13.664 0.000
-5.092 0.000 12.922
Rb Cd C S N
4 4 12 12 12
Cartesian
-0.559 2.931 2.750
-3.105 3.901 9.212
3.821 9.763 3.711
1.275 10.733 10.172
0.000 0.000 0.000
-2.546 6.832 6.461
0.358 0.000 6.461
2.904 6.832 0.000
-0.049 8.130 1.166
-2.595 12.366 7.627
-1.752 7.593 9.612
0.795 12.903 3.151
0.350 8.575 6.329
-2.197 11.921 12.790
2.912 1.743 0.132
0.366 5.089 6.594
-0.079 0.761 9.772
2.467 6.071 3.310
3.311 1.298 5.296
0.764 5.534 11.757
-3.618 2.328 12.544
-1.072 4.504 6.082
1.395 8.883 1.049
-1.152 11.612 7.511
-1.499 8.607 10.871
1.047 11.888 4.410
-0.331 1.776 8.513
2.215 5.056 2.052
1.867 2.051 5.412
-0.679 4.781 11.873
1.787 9.160 6.840
4.334 11.336 0.379
-1.428 0.794 5.197
-3.974 6.038 11.658
-1.942 6.855 8.706
0.604 13.641 2.245
-0.699 8.187 5.937
-3.246 12.309 12.398
3.961 1.355 0.524
1.415 5.477 6.985
0.111 0.023 10.678
2.657 6.809 4.216
4.690 7.626 1.265
2.144 12.870 7.726
```

(3)
Below is CdC7S3N4 after structural relaxation, with properties calculated at the PBE level.

Computed properties:
Its energy relative to the elements is 0.90 eV per atom. The calculation puts the magnetization at 0.035 μB per formula unit.

Geometry as POSCAR:
```
CdC7S3N4
1.0
10.761 0.000 0.000
0.000 14.051 0.000
0.000 0.000 9.557
Cd C S N
4 28 12 16
Cartesian
0.833 3.081 0.000
4.548 10.107 4.779
6.213 3.945 0.000
9.928 10.970 4.779
0.888 8.615 0.829
1.430 7.845 8.814
1.589 8.596 4.805
2.046 7.697 0.608
2.072 11.512 6.565
2.101 11.590 3.110
2.535 9.026 0.122
2.846 2.000 4.901
3.279 4.564 7.889
3.309 4.486 1.786
3.334 0.671 5.386
3.791 1.570 0.026
3.950 0.819 4.035
4.493 1.589 5.608
6.268 12.462 0.829
6.811 13.232 8.814
6.969 12.481 4.805
7.427 13.380 0.608
7.452 9.565 6.565
7.482 9.487 3.110
7.915 12.051 0.122
8.226 5.025 4.901
8.659 2.462 7.889
8.689 2.540 1.786
8.714 6.355 5.386
9.172 5.455 0.026
9.330 6.207 4.035
9.873 5.436 5.608
0.627 12.203 6.868
0.699 12.406 2.935
2.384 0.741 0.042
2.997 7.767 4.821
4.681 5.380 7.714
4.753 5.178 2.089
6.008 8.874 6.868
6.080 8.671 2.935
7.764 6.285 0.042
8.377 13.310 4.821
10.061 1.645 7.714
10.133 1.848 2.089
0.572 9.194 4.796
1.193 9.284 9.100
2.259 3.981 1.573
2.264 3.970 8.003
3.117 10.995 3.224
3.121 11.007 6.352
4.187 2.258 4.321
4.808 2.169 0.017
5.953 11.882 4.796
6.573 11.793 9.100
7.639 3.044 1.573
7.644 3.056 8.003
8.497 10.082 3.224
8.502 10.070 6.352
9.568 4.767 4.321
10.188 4.857 0.017
```

(4)
Below is CdC12S4N6 after structural relaxation, with properties calculated at the PBE level.

Computed properties:
Its energy relative to the elements is 0.71 eV per atom. The calculation puts the magnetization at 0.000 μB per formula unit. The energy relative to the lowest polymorph listed for this composition is 0 meV/atom.

Geometry as POSCAR:
```
CdC12S4N6
1.0
6.066 0.000 0.000
0.694 7.257 0.000
2.366 3.180 12.517
Cd C S N
1 12 4 6
Cartesian
0.000 0.000 0.000
2.369 3.312 8.996
2.982 7.268 8.815
3.586 8.332 8.111
2.728 4.494 3.458
4.397 7.357 8.557
3.134 1.668 0.426
5.992 8.770 12.091
4.730 3.080 3.959
6.399 5.943 9.059
5.541 2.106 4.405
6.145 3.169 3.701
6.758 7.125 3.520
2.512 2.688 7.444
1.623 2.290 0.454
7.503 8.147 12.063
6.615 7.749 5.072
2.361 3.640 10.117
4.884 9.186 12.093
3.587 3.717 3.773
5.539 6.720 8.744
4.243 1.251 0.423
6.765 6.797 2.400
```

(5)
Below is CdC12S4N6 after structural relaxation, with properties calculated at the PBE level.

Computed properties:
Its energy relative to the elements is 1.07 eV per atom. The calculation puts the magnetization at 3.875 μB per formula unit. The energy relative to the lowest polymorph listed for this composition is 361 meV/atom.

Geometry as POSCAR:
```
CdC12S4N6
1.0
5.942 0.000 0.000
-0.897 6.621 0.000
-1.127 -3.312 12.692
Cd C S N
1 12 4 6
Cartesian
0.000 0.000 0.000
-0.135 -0.123 3.515
0.847 3.339 3.244
0.982 3.469 4.704
1.526 0.262 8.845
0.945 1.649 12.306
2.056 3.697 2.657
1.863 -0.388 10.035
2.974 1.660 0.386
2.393 3.047 3.846
2.937 -0.160 7.988
3.072 -0.030 9.447
4.054 3.432 9.177
-0.377 0.119 5.098
-0.546 1.106 11.919
4.465 2.203 0.773
4.295 3.190 7.594
0.068 -0.321 2.360
1.883 1.296 0.124
1.795 0.538 7.570
2.124 2.771 5.122
2.035 2.013 12.568
3.851 3.630 10.332
```

(6)
Below is ZnCdC4Se4N4 after structural relaxation, with properties calculated at the PBE level.

Computed properties:
Its energy relative to the elements is 0.05 eV per atom. The calculation puts the magnetization at 0.000 μB per formula unit. The calculation puts the piezoelectric modulus e_max at 0.06 C/m2.

Geometry as POSCAR:
```
ZnCdC4Se4N4
1.0
-5.712 5.712 2.493
5.712 -5.712 2.493
5.712 5.712 -2.493
Zn Cd C Se N
1 1 4 4 4
Cartesian
0.000 0.000 0.000
0.000 5.712 1.247
4.915 3.235 -0.728
0.797 2.476 1.766
2.476 -0.797 3.221
3.235 6.509 0.728
4.425 1.822 0.294
3.889 -1.286 2.200
1.822 6.998 -0.294
1.286 3.889 2.787
5.205 4.175 -1.369
0.507 1.536 1.124
1.536 -0.507 3.863
4.175 6.219 1.369
```

(7)
Below is Na3CdPCO7 after structural relaxation, with properties calculated at the PBE level.

Computed properties:
Its energy relative to the elements is -2.27 eV per atom. The calculation puts the magnetization at 0.000 μB per formula unit.

Geometry as POSCAR:
```
Na3CdPCO7
1.0
5.255 0.000 0.000
0.000 7.004 0.000
-0.026 0.000 9.176
Na Cd P C O
6 2 2 2 14
Cartesian
1.252 1.751 3.823
1.275 3.522 6.964
1.275 6.984 6.964
3.954 0.020 2.212
3.954 3.482 2.212
3.977 5.253 5.353
1.206 5.253 1.244
4.023 1.751 7.932
1.561 1.751 0.850
3.668 5.253 8.326
1.377 5.253 4.069
3.852 1.751 5.107
0.199 5.253 3.512
1.006 1.751 8.562
1.087 0.513 1.669
1.087 2.989 1.669
1.493 5.253 5.362
2.101 5.253 8.390
2.450 5.253 3.319
2.779 1.751 5.857
3.128 1.751 0.786
3.736 1.751 3.814
4.142 4.015 7.507
4.142 6.491 7.507
4.223 5.253 0.614
5.030 1.751 5.664
```

(8)
Below is Na2ZrCdC8O24 after structural relaxation, with properties calculated at the PBE level.

Computed properties:
Its energy relative to the elements is -0.99 eV per atom. The calculation puts the magnetization at 16.000 μB per formula unit.

Geometry as POSCAR:
```
Na2ZrCdC8O24
1.0
8.336 0.000 0.000
-4.168 7.219 0.000
0.000 0.000 25.943
Na Zr Cd C O
6 3 3 24 72
Cartesian
0.000 0.000 0.000
0.000 0.000 4.324
0.000 0.000 8.648
0.000 0.000 12.972
0.000 0.000 17.296
0.000 0.000 21.620
-2.084 3.609 4.324
4.168 0.000 12.972
2.084 3.609 21.620
-2.084 3.609 17.296
4.168 0.000 0.000
2.084 3.609 8.648
-0.008 2.864 19.510
-1.692 5.780 15.081
0.008 2.864 6.433
-1.684 5.794 2.215
-0.054 4.420 6.476
-0.367 4.962 2.172
0.054 4.420 19.468
-0.313 5.055 15.123
0.367 4.962 23.771
0.313 5.055 10.820
2.484 1.425 23.729
2.476 1.439 10.862
1.692 5.780 10.862
1.684 5.794 23.729
3.855 2.164 10.820
3.801 2.257 23.771
4.481 2.164 15.123
4.114 2.799 19.468
4.534 2.257 2.172
4.222 2.799 6.476
5.852 1.425 2.215
4.160 4.355 6.433
5.860 1.439 15.081
4.176 4.355 19.510
-2.084 3.609 9.062
-2.084 3.609 12.627
-2.084 3.609 21.965
-2.084 3.609 25.529
-0.619 1.206 10.779
-3.433 6.079 23.812
-0.600 2.244 18.604
-2.524 5.577 15.987
-0.600 2.344 5.438
-2.438 5.527 3.210
0.619 1.206 15.164
-2.814 7.152 19.427
1.354 0.067 6.516
0.735 1.139 2.131
0.600 2.244 7.340
-1.924 6.617 1.308
-0.369 3.975 2.985
-0.910 4.912 5.663
0.600 2.344 20.506
-1.838 6.566 14.086
-0.151 4.107 15.910
-0.687 5.034 18.681
0.151 4.107 10.033
-0.535 5.297 24.558
2.244 0.602 24.635
1.643 1.642 9.956
0.369 3.975 22.959
-0.541 5.551 11.633
2.330 0.653 11.858
1.730 1.691 22.733
0.687 5.034 7.262
0.535 5.297 1.386
0.910 4.912 20.281
0.541 5.551 14.311
4.168 0.000 4.669
4.168 0.000 8.234
4.168 0.000 17.710
4.168 0.000 21.274
2.084 3.609 0.414
2.084 3.609 3.979
2.084 3.609 13.317
2.084 3.609 16.881
3.627 1.668 14.311
3.258 2.307 20.281
3.632 1.922 1.386
3.481 2.185 7.262
2.438 5.527 22.733
1.838 6.566 11.858
4.709 1.668 11.633
3.799 3.244 22.959
2.524 5.577 9.956
1.924 6.617 24.635
4.703 1.922 24.558
4.016 3.112 10.033
4.855 2.185 18.681
4.319 3.112 15.910
6.006 0.653 14.086
3.568 4.875 20.506
5.078 2.307 5.663
4.537 3.244 2.985
6.092 0.602 1.308
3.568 4.975 7.340
3.433 6.079 2.131
2.814 7.152 6.516
6.981 0.067 19.427
3.548 6.013 15.164
6.605 1.691 3.210
4.768 4.875 5.438
6.692 1.642 15.987
4.768 4.975 18.604
7.601 1.139 23.812
4.787 6.013 10.779
```

(9)
Below is CdCO3 after structural relaxation, with properties calculated at the PBE level.

Computed properties:
Its energy relative to the elements is -1.76 eV per atom.

Geometry as POSCAR:
```
CdCO3
1.0
2.508 1.448 5.537
-2.508 1.448 5.537
0.000 -2.896 5.537
Cd C O
2 2 6
Cartesian
0.000 0.000 0.000
0.000 0.000 8.306
0.000 0.000 4.153
0.000 0.000 12.459
-1.859 -0.323 6.922
-0.650 -1.771 9.690
1.209 -1.448 6.922
-1.209 1.448 9.690
0.650 1.771 6.922
1.859 0.323 9.690
```

(10)
Below is CdCO3 after structural relaxation, with properties calculated at the PBE level.

Computed properties:
Its energy relative to the elements is -1.20 eV per atom. The calculation puts the magnetization at 1.001 μB per formula unit.

Geometry as POSCAR:
```
CdCO3
1.0
7.476 0.000 0.000
0.000 5.988 0.000
-7.079 0.000 12.579
Cd C O
8 8 24
Cartesian
-1.917 1.461 4.245
-5.457 1.533 10.535
0.316 4.369 5.176
-3.224 4.612 11.466
3.621 1.376 1.113
0.081 1.618 7.403
5.853 4.455 2.044
2.314 4.527 8.334
1.244 3.434 1.034
-2.296 5.548 7.323
-2.645 0.563 8.514
0.894 2.431 2.225
-0.498 3.556 10.354
3.042 5.425 4.065
2.693 0.440 5.256
-0.847 2.554 11.545
0.421 4.342 0.784
-3.119 4.639 7.074
-4.232 3.340 9.996
-0.692 5.642 3.707
-3.667 0.256 9.204
-0.128 2.737 2.914
-4.556 0.250 12.120
-1.017 2.744 5.830
2.328 3.204 0.407
-1.212 5.778 6.697
1.631 1.434 2.393
-1.909 1.560 8.682
2.305 4.428 3.897
-1.234 4.554 10.186
1.608 0.210 5.882
-1.931 2.784 12.172
1.413 3.243 6.749
4.953 5.738 0.459
0.524 3.250 9.665
4.064 5.731 3.375
1.089 0.346 8.872
4.628 2.648 2.583
3.515 1.348 5.505
-0.024 1.645 11.795
```